(1)
# BaLa3 PBE relaxed
data_BaLa3
_chemical_formula_sum 'Ba1 La3'
_cell_length_a 5.464
_cell_length_b 5.464
_cell_length_c 5.464
_cell_angle_alpha 90.00
_cell_angle_beta 90.00
_cell_angle_gamma 90.00
_space_group_name_H-M_alt 'P m -3 m'
_space_group_IT_number 221
_space_group_name_Hall '-P 4 2 3'
loop_
_atom_site_label
_atom_site_type_symbol
_atom_site_fract_x
_atom_site_fract_y
_atom_site_fract_z
_atom_site_occupancy
Ba1 Ba 0.000 0.000 0.000 1
La1 La 0.000 0.500 0.500 1
# excess energy over the best structure of this formula in the dataset	0	meV per atom

=====

(2)
Sc2Ga3Cu | PBE | relaxed

CIF file:
```
data_Sc2Ga3Cu
_chemical_formula_sum 'Sc2 Ga3 Cu1'
_cell_length_a 3.259
_cell_length_b 4.289
_cell_length_c 7.424
_cell_angle_alpha 90.00
_cell_angle_beta 90.00
_cell_angle_gamma 90.00
_space_group_name_H-M_alt 'P m m 2'
_space_group_IT_number 25
loop_
_space_group_symop_operation_xyz
'x,y,z'
'-x,-y,z'
'-x,y,z'
'x,-y,z'
loop_
_atom_site_label
_atom_site_type_symbol
_atom_site_fract_x
_atom_site_fract_y
_atom_site_fract_z
_atom_site_occupancy
Sc1 Sc 0.000 0.000 0.000 1
Sc2 Sc 0.000 0.500 0.496 1
Ga1 Ga 0.500 0.000 0.656 1
Ga2 Ga 0.500 0.500 0.173 1
Ga3 Ga 0.500 0.500 0.833 1
Cu1 Cu 0.500 0.000 0.330 1
```

=====

(3)
# SmMg2V3S8 PBE relaxed
data_SmMg2V3S8
_chemical_formula_sum 'Sm1 Mg2 V3 S8'
_cell_length_a 7.351
_cell_length_b 7.365
_cell_length_c 7.524
_cell_angle_alpha 90.02
_cell_angle_beta 119.23
_cell_angle_gamma 119.92
_space_group_name_H-M_alt 'P -1'
_space_group_IT_number 2
loop_
_space_group_symop_operation_xyz
'x,y,z'
'-x,-y,-z'
loop_
_atom_site_label
_atom_site_type_symbol
_atom_site_fract_x
_atom_site_fract_y
_atom_site_fract_z
_atom_site_occupancy
Sm1 Sm 0.000 0.000 0.000 1
Mg1 Mg 0.253 0.627 0.882 1
V1 V 0.000 0.000 0.500 1
V2 V 0.500 0.000 0.500 1
V3 V 0.500 0.500 0.500 1
S1 S 0.036 0.258 0.294 1
S2 S 0.036 0.776 0.293 1
S3 S 0.477 0.240 0.716 1
S4 S 0.482 0.741 0.707 1
# corrected total energy (MP2020 scheme)	-6.32	eV/atom

=====

(4)
# RbVP2S7 PBE relaxed
data_RbVP2S7
_chemical_formula_sum 'Rb2 V2 P4 S14'
_cell_length_a 8.681
_cell_length_b 9.781
_cell_length_c 6.828
_cell_angle_alpha 90.00
_cell_angle_beta 97.64
_cell_angle_gamma 90.00
_space_group_name_H-M_alt 'C 1 2 1'
_space_group_IT_number 5
loop_
_space_group_symop_operation_xyz
'x,y,z'
'-x,y,-z'
'x+1/2,y+1/2,z'
'-x+1/2,y+1/2,-z'
loop_
_atom_site_label
_atom_site_type_symbol
_atom_site_fract_x
_atom_site_fract_y
_atom_site_fract_z
_atom_site_occupancy
Rb1 Rb 0.000 0.000 0.000 1
V1 V 0.000 0.389 0.500 1
P1 P 0.199 0.744 0.579 1
S1 S 0.000 0.874 0.500 1
S2 S 0.137 0.570 0.711 1
S3 S 0.161 0.363 0.230 1
S4 S 0.187 0.231 0.664 1
# corrected total energy (MP2020 scheme)	-5.44	eV/atom

=====

(5)
# MgTe2Mo2W2Se4S2 PBE relaxed
data_MgTe2Mo2W2Se4S2
_chemical_formula_sum 'Mg1 Te2 Mo2 W2 Se4 S2'
_cell_length_a 3.339
_cell_length_b 3.339
_cell_length_c 38.055
_cell_angle_alpha 90.00
_cell_angle_beta 90.00
_cell_angle_gamma 60.00
_space_group_name_H-M_alt 'P 1'
_space_group_IT_number 1
loop_
_space_group_symop_operation_xyz
'x,y,z'
loop_
_atom_site_label
_atom_site_type_symbol
_atom_site_fract_x
_atom_site_fract_y
_atom_site_fract_z
_atom_site_occupancy
Mg1 Mg 0.000 0.000 0.000 1
Te1 Te 0.600 0.669 0.725 1
Te2 Te 0.600 0.669 0.824 1
Mo1 Mo 0.934 0.003 0.399 1
Mo2 Mo 0.934 0.003 0.774 1
W1 W 0.600 0.669 0.211 1
W2 W 0.600 0.669 0.586 1
Se1 Se 0.600 0.669 0.355 1
Se2 Se 0.600 0.669 0.442 1
Se3 Se 0.934 0.003 0.167 1
Se4 Se 0.934 0.003 0.255 1
S1 S 0.934 0.003 0.546 1
S2 S 0.934 0.003 0.627 1
# excess energy over the best structure of this formula in the dataset	26	meV per atom
# corrected total energy (MP2020 scheme)	-6.50	eV/atom

=====

(6)
TbMn6Sn4Ge2 | PBE | relaxed

CIF file:
```
data_TbMn6Sn4Ge2
_chemical_formula_sum 'Tb1 Mn6 Sn4 Ge2'
_cell_length_a 5.3450
_cell_length_b 5.3450
_cell_length_c 8.6867
_cell_angle_alpha 90.00
_cell_angle_beta 90.00
_cell_angle_gamma 120.00
_space_group_name_H-M_alt 'P 6/m m m'
_space_group_IT_number 191
_space_group_name_Hall '-P 6 2'
loop_
_atom_site_label
_atom_site_type_symbol
_atom_site_fract_x
_atom_site_fract_y
_atom_site_fract_z
_atom_site_occupancy
Tb1 Tb 0.0000 0.0000 0.0000 1
Mn1 Mn 0.0000 0.5000 0.2328 1
Sn1 Sn 0.0000 0.0000 0.3347 1
Sn2 Sn 0.3333 0.6667 0.5000 1
Ge1 Ge 0.3333 0.6667 0.0000 1
```

=====

(7)
# K3AlH6 PBE relaxed
data_K3AlH6
_chemical_formula_sum 'K12 Al4 H24'
_cell_length_a 13.086
_cell_length_b 15.212
_cell_length_c 3.239
_cell_angle_alpha 90.00
_cell_angle_beta 90.00
_cell_angle_gamma 90.00
_space_group_name_H-M_alt 'P n n m'
_space_group_IT_number 58
loop_
_space_group_symop_operation_xyz
'x,y,z'
'-x,-y,-z'
'-x,-y,z'
'x,y,-z'
'x+1/2,-y+1/2,-z+1/2'
'-x+1/2,y+1/2,z+1/2'
'-x+1/2,y+1/2,-z+1/2'
'x+1/2,-y+1/2,z+1/2'
loop_
_atom_site_label
_atom_site_type_symbol
_atom_site_fract_x
_atom_site_fract_y
_atom_site_fract_z
_atom_site_occupancy
K1 K 0.029 0.220 0.000 1
K2 K 0.200 0.648 0.000 1
K3 K 0.246 0.383 0.000 1
Al1 Al 0.000 0.000 0.500 1
Al2 Al 0.000 0.500 0.500 1
H1 H 0.006 0.427 0.000 1
H2 H 0.059 0.946 0.000 1
H3 H 0.094 0.072 0.500 1
H4 H 0.119 0.755 0.500 1
H5 H 0.127 0.509 0.500 1
H6 H 0.167 0.275 0.500 1
# corrected total energy (MP2020 scheme)	-2.92	eV/atom

=====

(8)
# Hg3S2Br2 PBE relaxed
data_Hg3S2Br2
_chemical_formula_sum 'Hg24 S16 Br16'
_cell_length_a 18.226
_cell_length_b 9.759
_cell_length_c 9.725
_cell_angle_alpha 90.00
_cell_angle_beta 91.03
_cell_angle_gamma 90.00
_space_group_name_H-M_alt 'C 1 2/m 1'
_space_group_IT_number 12
loop_
_space_group_symop_operation_xyz
'x,y,z'
'-x,-y,-z'
'-x,y,-z'
'x,-y,z'
'x+1/2,y+1/2,z'
'-x+1/2,-y+1/2,-z'
'-x+1/2,y+1/2,-z'
'x+1/2,-y+1/2,z'
loop_
_atom_site_label
_atom_site_type_symbol
_atom_site_fract_x
_atom_site_fract_y
_atom_site_fract_z
_atom_site_occupancy
Hg1 Hg 0.000 0.238 0.000 1
Hg2 Hg 0.013 0.500 0.266 1
Hg3 Hg 0.121 0.213 0.703 1
Hg4 Hg 0.249 0.000 0.277 1
Hg5 Hg 0.250 0.250 0.000 1
S1 S 0.011 0.250 0.249 1
S2 S 0.246 0.247 0.251 1
Br1 Br 0.118 0.500 0.524 1
Br2 Br 0.123 0.000 0.506 1
Br3 Br 0.124 0.000 0.967 1
Br4 Br 0.126 0.500 0.994 1
# corrected total energy (MP2020 scheme)	-2.39	eV/atom

=====

(9)
# Na6MnTe4 PBE relaxed
data_Na6MnTe4
_chemical_formula_sum 'Na12 Mn2 Te8'
_cell_length_a 10.0927
_cell_length_b 10.0927
_cell_length_c 7.7606
_cell_angle_alpha 90.00
_cell_angle_beta 90.00
_cell_angle_gamma 120.00
_space_group_name_H-M_alt 'P 63 m c'
_space_group_IT_number 186
_space_group_name_Hall 'P 6c -2c'
loop_
_atom_site_label
_atom_site_type_symbol
_atom_site_fract_x
_atom_site_fract_y
_atom_site_fract_z
_atom_site_occupancy
Na1 Na 0.0554 0.5277 0.0000 1
Na2 Na 0.1501 0.3003 0.6704 1
Mn1 Mn 0.3333 0.6667 0.3800 1
Te1 Te 0.1852 0.3704 0.2706 1
Te2 Te 0.3333 0.6667 0.7333 1
# maximum piezoelectric response	0.35	C/m²
# corrected total energy (MP2020 scheme)	-3.65	eV/atom

=====

(10)
# HfTe6Cl6 PBE relaxed
data_HfTe6Cl6
_chemical_formula_sum 'Hf4 Te24 Cl24'
_cell_length_a 11.383
_cell_length_b 11.397
_cell_length_c 13.136
_cell_angle_alpha 90.00
_cell_angle_beta 90.00
_cell_angle_gamma 90.00
_space_group_name_H-M_alt 'P b c m'
_space_group_IT_number 57
loop_
_space_group_symop_operation_xyz
'x,y,z'
'-x,-y,-z'
'-x,-y,z+1/2'
'x,y,-z+1/2'
'x,-y+1/2,-z'
'-x,y+1/2,z'
'-x,y+1/2,-z+1/2'
'x,-y+1/2,z+1/2'
loop_
_atom_site_label
_atom_site_type_symbol
_atom_site_fract_x
_atom_site_fract_y
_atom_site_fract_z
_atom_site_occupancy
Hf1 Hf 0.237 0.208 0.250 1
Te1 Te 0.114 0.635 0.532 1
Te2 Te 0.226 0.742 0.750 1
Te3 Te 0.315 0.600 0.096 1
Te4 Te 0.476 0.750 0.000 1
Cl1 Cl 0.082 0.059 0.250 1
Cl2 Cl 0.136 0.173 0.620 1
Cl3 Cl 0.342 0.092 0.117 1
Cl4 Cl 0.399 0.155 0.750 1
# corrected total energy (MP2020 scheme)	-4.17	eV/atom

=====

For the records above, the corresponding energy relative to the elements values read 165, -548, -1443, -913, -520, -225, -174, -614, -953, -1101 meV per atom.